17
Lattice="2.883 1.665 10.472 -2.883 1.665 10.472 0.000 -3.330 10.472" Properties=species:S:1:pos:R:3 comment="CaC2S2O6F6 (GGA-PBE, relaxed)" ef_kj_per_mol_atoms=-204 space_group="No. 148" pbc="T T T"
Ca 0.000 0.000 0.000
C 0.000 0.000 6.908
C 0.000 0.000 24.507
S 0.000 0.000 8.780
S 0.000 0.000 22.635
O -0.012 -1.414 9.138
O -1.219 0.718 9.138
O -1.231 -0.697 22.277
O 1.231 0.697 9.138
O 1.219 -0.718 22.277
O 0.012 1.414 22.277
F -1.936 -0.820 14.492
F -0.258 -2.086 16.923
F -1.678 1.266 16.923
F 1.678 -1.266 14.492
F 0.258 2.086 14.492
F 1.936 0.820 16.923